Entry from the Materials Project: crystalline Fe2Te2SO13 at its relaxed geometry (PBE with a Hubbard U).

Values from the calculation:
Energy with MP2020 corrections: -6.29 eV per atom
Space-group type: Pna2_1, No. 33
Calculated volume: 1132.3 Å³/cell
Formation enthalpy at 0 K: -1.20 eV/atom
M_tot: 38.19 Bohr magnetons per cell

a = 14.9616 Å, b = 7.7865 Å, c = 9.7193 Å
α = 90.00°, β = 90.00°, γ = 90.00°
With the nearest neighbours (Å) after each atom.
Sites, in units of the cell vectors:
Fe (0.0072, 0.0469, 0.0000)  2 O 1.77-1.84
Fe (0.0313, 0.4619, 0.9989)  6 O 1.94-2.12
Fe (0.4687, 0.9619, 0.4989)  6 O 1.94-2.12
Fe (0.4928, 0.5469, 0.5000)  2 O 1.77-1.84
Fe (0.5072, 0.4531, 0.0000)  2 O 1.77-1.84
Fe (0.5313, 0.0381, 0.9989)  6 O 1.94-2.12
Fe (0.9687, 0.5381, 0.4989)  6 O 1.94-2.12
Fe (0.9928, 0.9531, 0.5000)  2 O 1.77-1.84
Te (0.0930, 0.7978, 0.7620)  6 O 1.89-2.11
Te (0.1055, 0.2845, 0.7068)  3 O 1.88-2.02
Te (0.3945, 0.7845, 0.2068)  3 O 1.88-2.02
Te (0.4070, 0.2978, 0.2620)  6 O 1.89-2.11
Te (0.5930, 0.7022, 0.7620)  6 O 1.89-2.11
Te (0.6055, 0.2155, 0.7068)  3 O 1.88-2.02
Te (0.8945, 0.7155, 0.2068)  3 O 1.88-2.02
Te (0.9070, 0.2022, 0.2620)  6 O 1.89-2.11
S (0.1613, 0.7127, 0.4539)  4 O 1.43-1.58
S (0.3387, 0.2127, 0.9539)  4 O 1.43-1.58
S (0.6613, 0.7873, 0.4539)  4 O 1.43-1.58
S (0.8387, 0.2873, 0.9539)  4 O 1.43-1.58
O (0.0008, 0.7508, 0.6258)  1 Te 1.95, 2 Fe 2.00-2.12
O (0.0018, 0.6513, 0.1194)  1 Te 1.88, 1 Fe 1.94
O (0.0050, 0.1288, 0.3754)  1 Fe 1.84, 1 Te 1.92
O (0.0616, 0.2494, 0.8877)  1 Te 1.90, 2 Fe 2.03-2.08
O (0.0828, 0.0358, 0.6595)  2 Te 2.02-2.11, 1 Fe 2.15
O (0.0889, 0.5622, 0.8260)  1 Te 1.94, 1 Fe 2.04
O (0.1040, 0.5557, 0.4451)  1 S 1.50
O (0.1103, 0.8692, 0.4137)  1 S 1.49
O (0.1147, 0.9702, 0.0446)  1 Fe 1.77
O (0.1483, 0.4683, 0.1032)  1 Fe 2.02
O (0.1860, 0.8683, 0.8805)  1 Te 1.89, 1 O 2.08
O (0.1880, 0.7327, 0.6106)  1 S 1.58
O (0.2422, 0.6982, 0.3760)  1 S 1.43
O (0.2578, 0.1982, 0.8760)  1 S 1.43
O (0.3120, 0.2327, 0.1106)  1 S 1.58
O (0.3140, 0.3683, 0.3805)  1 Te 1.89, 1 O 2.08
O (0.3517, 0.9683, 0.6032)  1 Fe 2.02
O (0.3853, 0.4702, 0.5446)  1 Fe 1.77
O (0.3897, 0.3692, 0.9137)  1 S 1.49
O (0.3960, 0.0557, 0.9451)  1 S 1.50
O (0.4111, 0.0622, 0.3260)  1 Te 1.94, 1 Fe 2.04
O (0.4172, 0.5358, 0.1595)  2 Te 2.02-2.11, 1 Fe 2.15
O (0.4384, 0.7494, 0.3877)  1 Te 1.90, 2 Fe 2.03-2.08
O (0.4950, 0.6288, 0.8754)  1 Fe 1.84, 1 Te 1.92
O (0.4982, 0.1513, 0.6194)  1 Te 1.88, 1 Fe 1.94
O (0.4992, 0.2508, 0.1258)  1 Te 1.95, 2 Fe 2.00-2.12
O (0.5008, 0.7492, 0.6258)  1 Te 1.95, 2 Fe 2.00-2.12
O (0.5018, 0.8487, 0.1194)  1 Te 1.88, 1 Fe 1.94
O (0.5050, 0.3712, 0.3754)  1 Fe 1.84, 1 Te 1.92
O (0.5616, 0.2506, 0.8877)  1 Te 1.90, 2 Fe 2.03-2.08
O (0.5828, 0.4642, 0.6595)  2 Te 2.02-2.11, 1 Fe 2.15
O (0.5889, 0.9378, 0.8260)  1 Te 1.94, 1 Fe 2.04
O (0.6040, 0.9443, 0.4451)  1 S 1.50
O (0.6103, 0.6308, 0.4137)  1 S 1.49
O (0.6147, 0.5298, 0.0446)  1 Fe 1.77
O (0.6483, 0.0317, 0.1032)  1 Fe 2.02
O (0.6860, 0.6317, 0.8805)  1 Te 1.89, 1 O 2.08
O (0.6880, 0.7673, 0.6106)  1 S 1.58
O (0.7422, 0.8018, 0.3760)  1 S 1.43
O (0.7578, 0.3018, 0.8760)  1 S 1.43
O (0.8120, 0.2673, 0.1106)  1 S 1.58
O (0.8140, 0.1317, 0.3805)  1 Te 1.89, 1 O 2.08
O (0.8517, 0.5317, 0.6032)  1 Fe 2.02
O (0.8853, 0.0298, 0.5446)  1 Fe 1.77
O (0.8897, 0.1308, 0.9137)  1 S 1.49
O (0.8960, 0.4443, 0.9451)  1 S 1.50
O (0.9111, 0.4378, 0.3260)  1 Te 1.94, 1 Fe 2.04
O (0.9172, 0.9642, 0.1595)  2 Te 2.02-2.11, 1 Fe 2.15
O (0.9384, 0.7506, 0.3877)  1 Te 1.90, 2 Fe 2.03-2.08
O (0.9950, 0.8712, 0.8754)  1 Fe 1.84, 1 Te 1.92
O (0.9982, 0.3487, 0.6194)  1 Te 1.88, 1 Fe 1.94
O (0.9992, 0.2492, 0.1258)  1 Te 1.95, 2 Fe 2.00-2.12